First-principles (PBE-GGA) data for a relaxed structure of Na4LaTiSi2PO12, as listed in Materials Project.

Calculated values
MP2020-corrected energy   -7.407 eV/atom

Cell: 9.499 9.499 21.910 Å, 90.72 89.28 119.96°
Atoms (fractional coordinates):
Na 0.642 0.005 0.249
Na 0.365 0.373 0.246
Na 0.994 0.630 0.247
Na 0.627 0.635 0.746
Na 0.995 0.358 0.749
Na 0.370 0.006 0.747
Na 0.309 0.338 0.582
Na 0.031 0.706 0.579
Na 0.661 0.963 0.580
Na 0.294 0.969 0.079
Na 0.662 0.691 0.082
Na 0.037 0.339 0.080
Na 0.976 0.672 0.915
Na 0.698 0.039 0.912
Na 0.327 0.296 0.913
Na 0.961 0.302 0.412
Na 0.328 0.024 0.415
Na 0.704 0.673 0.413
Na 0.992 0.990 0.502
Na 0.010 0.008 0.002
Na 0.659 0.323 0.836
Na 0.677 0.341 0.336
Na 0.325 0.657 0.169
Na 0.343 0.675 0.669
La 0.996 0.998 0.341
La 0.002 0.004 0.841
La 0.663 0.332 0.675
La 0.668 0.337 0.175
La 0.329 0.665 0.008
La 0.335 0.671 0.508
Ti 0.999 0.001 0.650
Ti 0.999 0.001 0.150
Ti 0.665 0.334 0.984
Ti 0.666 0.335 0.484
Ti 0.332 0.667 0.317
Ti 0.333 0.668 0.817
Si 0.685 0.705 0.251
Si 0.016 0.314 0.252
Si 0.295 0.315 0.751
Si 0.686 0.984 0.752
Si 0.352 0.038 0.584
Si 0.683 0.648 0.585
Si 0.962 0.648 0.084
Si 0.352 0.317 0.085
Si 0.018 0.371 0.918
Si 0.350 0.981 0.918
Si 0.629 0.982 0.418
Si 0.019 0.650 0.418
P 0.292 0.976 0.248
P 0.024 0.708 0.748
P 0.959 0.310 0.582
P 0.690 0.041 0.082
P 0.625 0.643 0.915
P 0.357 0.375 0.415
O 0.240 0.008 0.311
O 0.777 0.762 0.315
O 0.992 0.225 0.316
O 0.238 0.223 0.815
O 0.992 0.760 0.811
O 0.775 0.008 0.816
O 0.811 0.972 0.696
O 0.159 0.188 0.697
O 0.029 0.828 0.697
O 0.812 0.841 0.197
O 0.028 0.189 0.196
O 0.172 0.971 0.197
O 0.906 0.342 0.644
O 0.444 0.095 0.649
O 0.659 0.559 0.649
O 0.905 0.556 0.149
O 0.658 0.094 0.144
O 0.441 0.341 0.149
O 0.478 0.306 0.030
O 0.825 0.521 0.030
O 0.696 0.162 0.031
O 0.479 0.175 0.530
O 0.694 0.522 0.530
O 0.838 0.304 0.531
O 0.573 0.675 0.978
O 0.111 0.429 0.982
O 0.326 0.892 0.982
O 0.571 0.889 0.482
O 0.325 0.427 0.478
O 0.108 0.674 0.482
O 0.144 0.639 0.363
O 0.492 0.854 0.364
O 0.363 0.495 0.364
O 0.146 0.508 0.864
O 0.361 0.856 0.863
O 0.505 0.637 0.864
O 0.991 0.805 0.412
O 0.814 0.019 0.409
O 0.222 0.198 0.405
O 0.981 0.186 0.909
O 0.195 0.009 0.912
O 0.802 0.778 0.905
O 0.948 0.139 0.582
O 0.181 0.047 0.586
O 0.861 0.821 0.586
O 0.953 0.819 0.086
O 0.861 0.052 0.082
O 0.179 0.139 0.086
O 0.658 0.138 0.745
O 0.481 0.352 0.743
O 0.888 0.531 0.739
O 0.648 0.519 0.243
O 0.862 0.342 0.245
O 0.469 0.112 0.239
O 0.615 0.473 0.915
O 0.848 0.381 0.920
O 0.527 0.154 0.920
O 0.619 0.152 0.420
O 0.527 0.385 0.415
O 0.846 0.473 0.420
O 0.324 0.472 0.078
O 0.148 0.686 0.076
O 0.555 0.865 0.072
O 0.314 0.852 0.576
O 0.528 0.676 0.578
O 0.135 0.445 0.572
O 0.281 0.806 0.249
O 0.514 0.714 0.253
O 0.194 0.488 0.253
O 0.286 0.486 0.753
O 0.194 0.719 0.749
O 0.512 0.806 0.753


First-principles (PBE-GGA) data for a relaxed structure of Na3LaTiSiP2O12, as listed in Materials Project.

Calculated values
MP2020-corrected energy   -7.575 eV/atom
Relative energy among the computed polymorphs   0 meV/atom

Cell: 9.396 9.396 22.283 Å, 90.15 89.85 119.56°
Atoms (fractional coordinates):
Na 0.995 0.989 0.504
Na 0.011 0.005 0.004
Na 0.669 0.319 0.838
Na 0.681 0.331 0.338
Na 0.362 0.692 0.171
Na 0.308 0.638 0.671
Na 0.362 0.358 0.248
Na 0.996 0.643 0.242
Na 0.642 0.638 0.748
Na 0.357 0.004 0.742
Na 0.040 0.699 0.579
Na 0.659 0.973 0.583
Na 0.301 0.960 0.079
Na 0.027 0.341 0.083
Na 0.986 0.683 0.915
Na 0.693 0.030 0.915
Na 0.970 0.307 0.415
Na 0.317 0.014 0.415
La 0.978 0.989 0.347
La 0.011 0.022 0.847
La 0.676 0.329 0.682
La 0.671 0.324 0.182
La 0.337 0.660 0.013
La 0.340 0.663 0.513
Ti 0.013 0.017 0.650
Ti 0.983 0.987 0.150
Ti 0.661 0.346 0.983
Ti 0.654 0.339 0.483
Ti 0.317 0.653 0.318
Ti 0.347 0.683 0.818
Si 0.019 0.312 0.253
Si 0.688 0.981 0.753
Si 0.356 0.044 0.584
Si 0.956 0.644 0.084
Si 0.354 0.983 0.921
Si 0.017 0.646 0.421
P 0.281 0.975 0.250
P 0.683 0.707 0.246
P 0.293 0.317 0.746
P 0.025 0.719 0.750
P 0.958 0.310 0.578
P 0.692 0.645 0.585
P 0.690 0.042 0.078
P 0.355 0.308 0.085
P 0.628 0.646 0.912
P 0.022 0.384 0.918
P 0.616 0.978 0.418
P 0.354 0.372 0.412
O 0.213 0.994 0.310
O 0.787 0.756 0.303
O 0.010 0.232 0.318
O 0.244 0.213 0.803
O 0.006 0.787 0.810
O 0.768 0.990 0.818
O 0.806 0.970 0.697
O 0.169 0.200 0.695
O 0.042 0.843 0.698
O 0.800 0.831 0.195
O 0.030 0.194 0.197
O 0.157 0.958 0.198
O 0.898 0.347 0.637
O 0.455 0.106 0.646
O 0.676 0.565 0.645
O 0.894 0.545 0.146
O 0.653 0.102 0.137
O 0.435 0.324 0.145
O 0.478 0.311 0.034
O 0.825 0.526 0.028
O 0.707 0.163 0.026
O 0.474 0.175 0.528
O 0.689 0.522 0.534
O 0.837 0.293 0.526
O 0.567 0.690 0.968
O 0.093 0.435 0.982
O 0.336 0.887 0.982
O 0.565 0.907 0.482
O 0.310 0.433 0.468
O 0.113 0.664 0.482
O 0.142 0.629 0.365
O 0.493 0.854 0.371
O 0.370 0.487 0.357
O 0.146 0.507 0.871
O 0.371 0.858 0.865
O 0.513 0.630 0.857
O 0.009 0.813 0.413
O 0.796 0.022 0.411
O 0.219 0.193 0.404
O 0.978 0.204 0.911
O 0.187 0.991 0.913
O 0.807 0.781 0.904
O 0.949 0.138 0.585
O 0.174 0.035 0.591
O 0.861 0.805 0.580
O 0.965 0.826 0.091
O 0.862 0.051 0.085
O 0.195 0.139 0.080
O 0.640 0.125 0.750
O 0.470 0.358 0.734
O 0.873 0.550 0.742
O 0.642 0.530 0.234
O 0.875 0.360 0.250
O 0.450 0.127 0.242
O 0.625 0.478 0.920
O 0.859 0.393 0.915
O 0.530 0.158 0.922
O 0.607 0.141 0.415
O 0.522 0.375 0.420
O 0.842 0.470 0.422
O 0.313 0.445 0.078
O 0.142 0.677 0.076
O 0.551 0.866 0.071
O 0.323 0.858 0.576
O 0.555 0.687 0.578
O 0.134 0.449 0.571
O 0.286 0.811 0.252
O 0.526 0.719 0.251
O 0.201 0.494 0.256
O 0.281 0.474 0.751
O 0.189 0.714 0.752
O 0.506 0.799 0.756


First-principles (PBE-GGA) data for a relaxed structure of Na3LaTiSiP2O12, as listed in Materials Project.

Calculated values
MP2020-corrected energy   -7.573 eV/atom
Relative energy among the computed polymorphs   3 meV/atom

Cell: 16.231 9.407 9.444 Å, 90.00 126.79 90.00°
Atoms (fractional coordinates):
Na 0.256 0.727 0.014
Na 0.756 0.773 0.514
Na 0.756 0.227 0.014
Na 0.256 0.273 0.514
Na 0.502 0.089 0.740
Na 0.502 0.911 0.240
Na 0.002 0.589 0.740
Na 0.002 0.411 0.240
Na 0.194 0.926 0.313
Na 0.194 0.074 0.813
Na 0.694 0.426 0.313
Na 0.694 0.574 0.813
La 0.109 0.743 0.570
La 0.109 0.257 0.070
La 0.609 0.243 0.570
La 0.609 0.757 0.070
Ti 0.900 0.769 0.929
Ti 0.900 0.231 0.429
Ti 0.400 0.269 0.929
Ti 0.400 0.731 0.429
Si 0.650 0.874 0.742
Si 0.650 0.126 0.242
Si 0.150 0.374 0.742
Si 0.150 0.626 0.242
P 0.988 0.962 0.751
P 0.988 0.038 0.251
P 0.488 0.462 0.751
P 0.488 0.538 0.251
P 0.356 0.928 0.750
P 0.356 0.072 0.250
P 0.856 0.428 0.750
P 0.856 0.572 0.250
O 0.156 0.546 0.756
O 0.856 0.597 0.744
O 0.856 0.403 0.244
O 0.156 0.454 0.256
O 0.656 0.046 0.756
O 0.356 0.097 0.744
O 0.356 0.903 0.244
O 0.656 0.954 0.256
O 0.431 0.569 0.589
O 0.555 0.539 0.925
O 0.555 0.461 0.425
O 0.431 0.431 0.089
O 0.931 0.069 0.589
O 0.055 0.039 0.925
O 0.055 0.961 0.425
O 0.931 0.931 0.089
O 0.263 0.882 0.748
O 0.749 0.800 0.760
O 0.749 0.200 0.260
O 0.263 0.118 0.248
O 0.763 0.382 0.748
O 0.249 0.300 0.760
O 0.249 0.700 0.260
O 0.763 0.618 0.248
O 0.354 0.874 0.592
O 0.653 0.809 0.901
O 0.653 0.191 0.401
O 0.354 0.126 0.092
O 0.854 0.374 0.592
O 0.153 0.309 0.901
O 0.153 0.691 0.401
O 0.854 0.626 0.092
O 0.454 0.882 0.929
O 0.535 0.809 0.558
O 0.535 0.191 0.058
O 0.454 0.118 0.429
O 0.954 0.382 0.929
O 0.035 0.309 0.558
O 0.035 0.691 0.058
O 0.954 0.618 0.429
O 0.054 0.854 0.736
O 0.905 0.875 0.754
O 0.905 0.125 0.254
O 0.054 0.146 0.236
O 0.554 0.354 0.736
O 0.405 0.375 0.754
O 0.405 0.625 0.254
O 0.554 0.646 0.236


First-principles (PBE-GGA) data for a relaxed structure of Na4LaZrSi2PO12, as listed in Materials Project.

Calculated values
MP2020-corrected energy   -7.525 eV/atom

Cell: 9.590 9.590 22.565 Å, 90.14 89.86 119.78°
Atoms (fractional coordinates):
Na 0.647 0.007 0.250
Na 0.362 0.368 0.241
Na 0.990 0.628 0.247
Na 0.632 0.638 0.741
Na 0.993 0.353 0.750
Na 0.372 0.010 0.747
Na 0.314 0.341 0.583
Na 0.029 0.701 0.575
Na 0.657 0.962 0.580
Na 0.299 0.971 0.075
Na 0.659 0.686 0.083
Na 0.038 0.343 0.080
Na 0.980 0.674 0.916
Na 0.695 0.035 0.908
Na 0.323 0.295 0.914
Na 0.965 0.305 0.408
Na 0.326 0.020 0.416
Na 0.705 0.677 0.414
Na 0.989 0.986 0.500
Na 0.014 0.011 0.000
Na 0.656 0.319 0.833
Na 0.681 0.344 0.333
Na 0.322 0.652 0.166
Na 0.348 0.678 0.666
La 0.996 0.998 0.344
La 0.002 0.004 0.844
La 0.663 0.331 0.677
La 0.669 0.337 0.177
La 0.329 0.664 0.011
La 0.336 0.671 0.511
Zr 0.000 0.003 0.649
Zr 0.997 0.000 0.149
Zr 0.667 0.336 0.982
Zr 0.664 0.333 0.482
Zr 0.333 0.670 0.316
Zr 0.330 0.667 0.816
Si 0.688 0.700 0.251
Si 0.011 0.312 0.252
Si 0.300 0.312 0.751
Si 0.688 0.989 0.752
Si 0.354 0.033 0.585
Si 0.678 0.645 0.585
Si 0.967 0.646 0.085
Si 0.355 0.322 0.085
Si 0.021 0.367 0.918
Si 0.344 0.978 0.919
Si 0.633 0.979 0.418
Si 0.022 0.656 0.419
P 0.296 0.983 0.249
P 0.017 0.704 0.749
P 0.962 0.317 0.583
P 0.683 0.038 0.083
P 0.629 0.650 0.916
P 0.350 0.371 0.416
O 0.237 0.014 0.309
O 0.784 0.766 0.313
O 0.991 0.220 0.314
O 0.234 0.216 0.813
O 0.986 0.763 0.809
O 0.780 0.009 0.814
O 0.801 0.976 0.697
O 0.176 0.200 0.696
O 0.026 0.821 0.698
O 0.800 0.824 0.196
O 0.024 0.199 0.197
O 0.179 0.974 0.198
O 0.904 0.347 0.642
O 0.450 0.099 0.646
O 0.657 0.553 0.647
O 0.901 0.550 0.146
O 0.653 0.096 0.142
O 0.447 0.343 0.147
O 0.468 0.310 0.030
O 0.842 0.533 0.029
O 0.693 0.154 0.031
O 0.467 0.158 0.529
O 0.690 0.532 0.530
O 0.846 0.307 0.531
O 0.570 0.681 0.975
O 0.117 0.432 0.980
O 0.324 0.887 0.981
O 0.568 0.883 0.480
O 0.319 0.430 0.475
O 0.113 0.676 0.481
O 0.135 0.643 0.364
O 0.509 0.867 0.363
O 0.360 0.487 0.365
O 0.133 0.491 0.863
O 0.357 0.865 0.864
O 0.513 0.640 0.865
O 0.996 0.811 0.414
O 0.818 0.014 0.412
O 0.217 0.196 0.408
O 0.986 0.182 0.912
O 0.189 0.004 0.914
O 0.804 0.783 0.908
O 0.954 0.148 0.584
O 0.183 0.038 0.586
O 0.850 0.820 0.586
O 0.962 0.817 0.086
O 0.852 0.046 0.084
O 0.180 0.150 0.086
O 0.662 0.145 0.748
O 0.484 0.348 0.745
O 0.883 0.529 0.741
O 0.652 0.516 0.245
O 0.855 0.338 0.248
O 0.471 0.117 0.241
O 0.621 0.482 0.917
O 0.850 0.371 0.919
O 0.517 0.153 0.919
O 0.629 0.150 0.419
O 0.518 0.379 0.417
O 0.847 0.483 0.419
O 0.329 0.478 0.081
O 0.151 0.681 0.079
O 0.550 0.862 0.075
O 0.319 0.849 0.579
O 0.522 0.671 0.581
O 0.138 0.450 0.575
O 0.287 0.815 0.251
O 0.516 0.705 0.252
O 0.183 0.486 0.252
O 0.295 0.484 0.752
O 0.185 0.713 0.751
O 0.514 0.817 0.752


Formation energy from the elements: -2.94, -2.95, -2.95, -3.03 (eV/atom)